Entry 1:
# PBE+U Na4MgNi2O6, optimized geometry
data_Na4MgNi2O6
_space_group_name_H-M_alt 'P 1'
_space_group_IT_number 1
_cell_length_a 5.6470
_cell_length_b 6.0576
_cell_length_c 6.2821
_cell_angle_alpha 116.59
_cell_angle_beta 93.68
_cell_angle_gamma 112.54
loop_
_space_group_symop_operation_xyz
'x,y,z'
loop_
_atom_site_label
_atom_site_fract_x
_atom_site_fract_y
_atom_site_fract_z
Na1 0.0000 0.0000 0.0000
Na2 0.1358 0.1006 0.5564
Na3 0.5616 0.3577 0.2910
Na4 0.8272 0.3845 0.7370
Mg1 0.3694 0.7731 0.6844
Ni1 0.0635 0.5605 0.2787
Ni2 0.5349 0.7509 0.1557
O1 0.1909 0.4357 0.9897
O2 0.2073 0.3867 0.4032
O3 0.4640 0.9347 0.4626
O4 0.5862 0.9724 0.0185
O5 0.8165 0.6556 0.1368
O6 0.9853 0.7066 0.5933
# formation energy: -1.4680 eV/atom
# total magnetization: 4.0 μB/f.u.
# DFT total energy: -4.463 eV/atom

Entry 2:
# PBE+U Na4MgNi2O6, optimized geometry
data_Na4MgNi2O6
_space_group_name_H-M_alt 'C 1 m 1'
_space_group_IT_number 8
_cell_length_a 5.1901
_cell_length_b 9.4471
_cell_length_c 6.7401
_cell_angle_alpha 90.00
_cell_angle_beta 108.96
_cell_angle_gamma 90.00
loop_
_space_group_symop_operation_xyz
'x,y,z'
'x,-y,z'
'x+1/2,y+1/2,z'
'x+1/2,-y+1/2,z'
loop_
_atom_site_label
_atom_site_fract_x
_atom_site_fract_y
_atom_site_fract_z
Na1 0.0000 0.0000 0.0000
Na2 0.0346 0.5000 0.1627
Na3 0.2414 0.1958 0.3680
Mg1 0.4512 0.5000 0.5995
Ni1 0.0199 0.3129 0.8407
O1 0.2442 0.3321 0.6628
O2 0.3228 0.2105 0.0326
O3 0.3440 0.0000 0.7782
O4 0.4717 0.5000 0.3219
# formation energy: -1.4208 eV/atom
# total magnetization: 2.0 μB/f.u.
# DFT total energy: -4.416 eV/atom

Entry 3:
# PBE+U Na8MgNi2O8, optimized geometry
data_Na8MgNi2O8
_space_group_name_H-M_alt 'P 1'
_space_group_IT_number 1
_cell_length_a 5.7477
_cell_length_b 5.8733
_cell_length_c 8.8354
_cell_angle_alpha 70.61
_cell_angle_beta 80.99
_cell_angle_gamma 68.27
loop_
_space_group_symop_operation_xyz
'x,y,z'
loop_
_atom_site_label
_atom_site_fract_x
_atom_site_fract_y
_atom_site_fract_z
Na1 0.0000 0.0000 0.0000
Na2 0.0041 0.8125 0.4324
Na3 0.0240 0.1256 0.6133
Na4 0.4891 0.4919 0.0055
Na5 0.5035 0.1740 0.3353
Na6 0.5191 0.0584 0.8701
Na7 0.5704 0.3686 0.5430
Na8 0.9863 0.6000 0.8434
Mg1 0.4369 0.8065 0.2232
Ni1 0.0143 0.4373 0.1942
Ni2 0.5331 0.7367 0.6679
O1 0.2270 0.5913 0.2435
O2 0.2587 0.1897 0.0924
O3 0.2694 0.8375 0.8101
O4 0.4275 0.7985 0.4555
O5 0.7243 0.3894 0.7715
O6 0.7305 0.9301 0.6431
O7 0.7467 0.7183 0.0768
O8 0.8592 0.2592 0.3533
# formation energy: -1.4941 eV/atom
# total magnetization: 6.0 μB/f.u.
# DFT total energy: -4.270 eV/atom

Entry 4:
# PBE+U Na2MgNi5O10, optimized geometry
data_Na2MgNi5O10
_space_group_name_H-M_alt 'P 1'
_space_group_IT_number 1
_cell_length_a 4.9366
_cell_length_b 6.2063
_cell_length_c 6.7338
_cell_angle_alpha 107.33
_cell_angle_beta 95.93
_cell_angle_gamma 103.06
loop_
_space_group_symop_operation_xyz
'x,y,z'
loop_
_atom_site_label
_atom_site_fract_x
_atom_site_fract_y
_atom_site_fract_z
Na1 0.0000 0.0000 0.0000
Na2 0.1890 0.3737 0.3766
Mg1 0.4043 0.7742 0.7778
Ni1 0.1982 0.8796 0.3867
Ni2 0.3949 0.2797 0.7842
Ni3 0.5979 0.6847 0.1876
Ni4 0.7924 0.0705 0.5848
Ni5 0.9985 0.4952 0.9804
O1 0.1029 0.9412 0.6578
O2 0.1164 0.4276 0.7156
O3 0.2896 0.3640 0.0526
O4 0.3092 0.8146 0.1098
O5 0.4734 0.1752 0.5036
O6 0.4813 0.7487 0.4669
O7 0.6734 0.1297 0.8482
O8 0.6900 0.6223 0.9083
O9 0.9060 0.0071 0.3222
O10 0.9154 0.5825 0.2590
# formation energy: -1.2587 eV/atom
# total magnetization: 4.0 μB/f.u.
# DFT total energy: -4.761 eV/atom

Entry 5:
# PBE+U Na6MgNi2O6, optimized geometry
data_Na6MgNi2O6
_space_group_name_H-M_alt 'P -1'
_space_group_IT_number 2
_cell_length_a 5.8051
_cell_length_b 6.1069
_cell_length_c 6.1739
_cell_angle_alpha 111.14
_cell_angle_beta 91.43
_cell_angle_gamma 95.42
loop_
_space_group_symop_operation_xyz
'x,y,z'
'-x,-y,-z'
loop_
_atom_site_label
_atom_site_fract_x
_atom_site_fract_y
_atom_site_fract_z
Na1 0.0380 0.4439 0.2239
Na2 0.2198 0.9885 0.1226
Na3 0.3938 0.6950 0.6496
Mg1 0.0000 0.0000 0.5000
Ni1 0.3790 0.3044 0.8104
O1 0.1832 0.0124 0.7778
O2 0.2297 0.2923 0.5000
O3 0.3040 0.6188 0.0406
# formation energy: -1.4793 eV/atom
# total magnetization: 4.0 μB/f.u.
# DFT total energy: -4.251 eV/atom

Entry 6:
# PBE+U Na2MgNi2O4, optimized geometry
data_Na2MgNi2O4
_space_group_name_H-M_alt 'P -6 m 2'
_space_group_IT_number 187
_space_group_name_Hall 'P -6 2'
_cell_length_a 3.3470
_cell_length_b 3.3470
_cell_length_c 10.5877
_cell_angle_alpha 90.00
_cell_angle_beta 90.00
_cell_angle_gamma 120.00
loop_
_atom_site_label
_atom_site_fract_x
_atom_site_fract_y
_atom_site_fract_z
Na1 0.0000 0.0000 0.0000
Na2 0.3333 0.6667 0.5000
Mg1 0.6667 0.3333 0.5000
Ni1 0.6667 0.3333 0.2264
O1 0.0000 0.0000 0.3850
O2 0.3333 0.6667 0.1566
# formation energy: -0.8148 eV/atom
# total magnetization: 4.0 μB/f.u.
# DFT total energy: -3.900 eV/atom

Entry 7:
# PBE+U Na8MgNi2O8, optimized geometry
data_Na8MgNi2O8
_space_group_name_H-M_alt 'P 1'
_space_group_IT_number 1
_cell_length_a 5.8476
_cell_length_b 5.9060
_cell_length_c 8.6297
_cell_angle_alpha 83.91
_cell_angle_beta 73.14
_cell_angle_gamma 69.04
loop_
_space_group_symop_operation_xyz
'x,y,z'
loop_
_atom_site_label
_atom_site_fract_x
_atom_site_fract_y
_atom_site_fract_z
Na1 0.0000 0.0000 0.0000
Na2 0.0024 0.5450 0.8859
Na3 0.2171 0.5214 0.4804
Na4 0.4435 0.5128 0.0724
Na5 0.5292 0.0249 0.8734
Na6 0.7797 0.1469 0.3394
Na7 0.9050 0.5755 0.2508
Na8 0.9984 0.0411 0.6269
Mg1 0.5217 0.8424 0.5414
Ni1 0.3468 0.9926 0.2151
Ni2 0.6392 0.5245 0.7175
O1 0.1390 0.8031 0.2644
O2 0.1840 0.2522 0.0913
O3 0.3078 0.7686 0.7715
O4 0.3682 0.1029 0.4119
O5 0.6440 0.4770 0.5004
O6 0.6666 0.8100 0.0886
O7 0.7702 0.2935 0.8488
O8 0.8028 0.7676 0.6494
# formation energy: -1.4781 eV/atom
# total magnetization: 6.0 μB/f.u.
# DFT total energy: -4.254 eV/atom

Entry 8:
# PBE+U Na8MgNi2O8, optimized geometry
data_Na8MgNi2O8
_space_group_name_H-M_alt 'P 1'
_space_group_IT_number 1
_cell_length_a 5.7316
_cell_length_b 5.7897
_cell_length_c 8.8959
_cell_angle_alpha 88.75
_cell_angle_beta 72.67
_cell_angle_gamma 70.76
loop_
_space_group_symop_operation_xyz
'x,y,z'
loop_
_atom_site_label
_atom_site_fract_x
_atom_site_fract_y
_atom_site_fract_z
Na1 0.0000 0.0000 0.0000
Na2 0.0528 0.4954 0.8361
Na3 0.2405 0.9822 0.6065
Na4 0.4112 0.6433 0.3302
Na5 0.5129 0.5018 0.9701
Na6 0.5932 0.9868 0.8060
Na7 0.7436 0.0505 0.3852
Na8 0.8972 0.4799 0.1827
Mg1 0.0452 0.3671 0.4867
Ni1 0.4307 0.0853 0.1441
Ni2 0.5423 0.5035 0.6333
O1 0.1822 0.0625 0.3407
O2 0.2569 0.2449 0.0021
O3 0.3321 0.7415 0.7919
O4 0.3362 0.3734 0.5599
O5 0.6169 0.2750 0.1788
O6 0.6879 0.7868 0.0410
O7 0.7437 0.6380 0.4576
O8 0.8206 0.2767 0.6898
# formation energy: -1.5153 eV/atom
# total magnetization: 6.0 μB/f.u.
# DFT total energy: -4.291 eV/atom

Entry 9:
# PBE+U Na4MgNi2O6, optimized geometry
data_Na4MgNi2O6
_space_group_name_H-M_alt 'C 1 m 1'
_space_group_IT_number 8
_cell_length_a 5.3671
_cell_length_b 10.1282
_cell_length_c 6.1737
_cell_angle_alpha 90.00
_cell_angle_beta 101.46
_cell_angle_gamma 90.00
loop_
_space_group_symop_operation_xyz
'x,y,z'
'x,-y,z'
'x+1/2,y+1/2,z'
'x+1/2,-y+1/2,z'
loop_
_atom_site_label
_atom_site_fract_x
_atom_site_fract_y
_atom_site_fract_z
Na1 0.0000 0.0000 0.0000
Na2 0.1227 0.3202 0.1646
Na3 0.1867 0.5000 0.6278
Mg1 0.2081 0.0000 0.4370
Ni1 0.1135 0.1971 0.6611
O1 0.2383 0.0000 0.7574
O2 0.3544 0.5000 0.3085
O3 0.3576 0.1814 0.4593
O4 0.3749 0.3037 0.8479
# formation energy: -1.3997 eV/atom
# total magnetization: 2.0 μB/f.u.
# DFT total energy: -4.395 eV/atom

Entry 10:
# PBE+U Na4MgNi2O6, optimized geometry
data_Na4MgNi2O6
_space_group_name_H-M_alt 'P -1'
_space_group_IT_number 2
_cell_length_a 5.4916
_cell_length_b 5.5841
_cell_length_c 5.7568
_cell_angle_alpha 101.25
_cell_angle_beta 107.50
_cell_angle_gamma 108.64
loop_
_space_group_symop_operation_xyz
'x,y,z'
'-x,-y,-z'
loop_
_atom_site_label
_atom_site_fract_x
_atom_site_fract_y
_atom_site_fract_z
Na1 0.0000 0.0000 0.0000
Na2 0.0000 0.0000 0.5000
Na3 0.4709 0.1896 0.3906
Mg1 0.0000 0.5000 0.5000
Ni1 0.2913 0.6052 0.0007
O1 0.1389 0.7229 0.2412
O2 0.1950 0.8173 0.7916
O3 0.4222 0.4561 0.7533
# formation energy: -1.4000 eV/atom
# total magnetization: 2.0 μB/f.u.
# DFT total energy: -4.395 eV/atom

Entry 11:
# PBE+U Na6MgNi2O6, optimized geometry
data_Na6MgNi2O6
_space_group_name_H-M_alt 'P -1'
_space_group_IT_number 2
_cell_length_a 6.1639
_cell_length_b 6.4093
_cell_length_c 6.5068
_cell_angle_alpha 118.20
_cell_angle_beta 90.40
_cell_angle_gamma 90.62
loop_
_space_group_symop_operation_xyz
'x,y,z'
'-x,-y,-z'
loop_
_atom_site_label
_atom_site_fract_x
_atom_site_fract_y
_atom_site_fract_z
Na1 0.1272 0.3342 0.3401
Na2 0.2153 0.8808 0.3505
Na3 0.2185 0.0732 0.8793
Mg1 0.0000 0.5000 0.0000
Ni1 0.3677 0.5197 0.8415
O1 0.1455 0.7724 0.9532
O2 0.1473 0.2648 0.6527
O3 0.3190 0.4758 0.1394
# formation energy: -1.4497 eV/atom
# total magnetization: 4.0 μB/f.u.
# DFT total energy: -4.222 eV/atom

Entry 12:
# PBE+U NaMg2V3O10, optimized geometry
data_NaMg2V3O10
_space_group_name_H-M_alt 'P -1'
_space_group_IT_number 2
_cell_length_a 6.8608
_cell_length_b 6.8714
_cell_length_c 9.7644
_cell_angle_alpha 104.83
_cell_angle_beta 100.24
_cell_angle_gamma 101.66
loop_
_space_group_symop_operation_xyz
'x,y,z'
'-x,-y,-z'
loop_
_atom_site_label
_atom_site_fract_x
_atom_site_fract_y
_atom_site_fract_z
Na1 0.1408 0.0213 0.3646
Mg1 0.2559 0.4318 0.7064
Mg2 0.2919 0.8165 0.9825
V1 0.2672 0.3375 0.0462
V2 0.2719 0.5726 0.3866
V3 0.3863 0.9519 0.6920
O1 0.0204 0.2392 0.0414
O2 0.0565 0.6343 0.3221
O3 0.2235 0.3964 0.4782
O4 0.2270 0.1080 0.6554
O5 0.2735 0.7570 0.7576
O6 0.2858 0.4971 0.9336
O7 0.3714 0.1316 0.9880
O8 0.3712 0.9124 0.2087
O9 0.4026 0.4804 0.2431
O10 0.4311 0.8073 0.5194
# formation energy: -2.5912 eV/atom
# DFT total energy: -6.922 eV/atom

Entry 13:
# PBE+U Na2MgV4O10, optimized geometry
data_Na2MgV4O10
_space_group_name_H-M_alt 'A m m 2'
_space_group_IT_number 38
_cell_length_a 11.4329
_cell_length_b 3.8160
_cell_length_c 11.4509
_cell_angle_alpha 90.00
_cell_angle_beta 90.00
_cell_angle_gamma 90.00
loop_
_space_group_symop_operation_xyz
'x,y,z'
'-x,-y,z'
'-x,y,z'
'x,-y,z'
'x,y+1/2,z+1/2'
'-x,-y+1/2,z+1/2'
'-x,y+1/2,z+1/2'
'x,-y+1/2,z+1/2'
loop_
_atom_site_label
_atom_site_fract_x
_atom_site_fract_y
_atom_site_fract_z
Na1 0.0000 0.0000 0.0000
Na2 0.5000 0.0000 0.1981
Mg1 0.5000 0.0000 0.4512
V1 0.1485 0.0000 0.2988
V2 0.3358 0.0000 0.8884
O1 0.0000 0.0000 0.3739
O2 0.1382 0.0000 0.1554
O3 0.1762 0.0000 0.8490
O4 0.3314 0.0000 0.3509
O5 0.3864 0.0000 0.0296
O6 0.5000 0.0000 0.8247
# formation energy: -2.3167 eV/atom
# total magnetization: 4.0 μB/f.u.
# DFT total energy: -6.810 eV/atom

Entry 14:
# PBE+U Na3Mg2V3O12, optimized geometry
data_Na3Mg2V3O12
_space_group_name_H-M_alt 'I a -3 d'
_space_group_IT_number 230
_space_group_name_Hall '-I 4bd 2c 3'
_cell_length_a 12.6661
_cell_length_b 12.6661
_cell_length_c 12.6661
_cell_angle_alpha 90.00
_cell_angle_beta 90.00
_cell_angle_gamma 90.00
loop_
_atom_site_label
_atom_site_fract_x
_atom_site_fract_y
_atom_site_fract_z
Na1 0.0000 0.2500 0.1250
Mg1 0.0000 0.0000 0.0000
V1 0.0000 0.2500 0.3750
O1 0.0406 0.0494 0.6530
# formation energy: -2.3482 eV/atom
# total magnetization: 2.0 μB/f.u.
# DFT total energy: -6.371 eV/atom